1.
Ba5Y3F19 PBE-GGA optimized geometry; density = 4.22 Mg/m³; energy above the most stable polymorph in this dataset = 0.005 eV per atom; space group = P-1, No. 2
1.0
8.2428 0.0000 0.0000
3.0356 11.2962 0.0000
4.1000 0.1245 11.1051
Ba Y F
10 6 38
direct
0.0518 0.1853 0.1767
0.2586 0.1720 0.7738
0.2701 0.6694 0.3061
0.2815 0.4619 0.9801
0.4291 0.2805 0.3267
0.5709 0.7195 0.6733
0.7185 0.5381 0.0199
0.7299 0.3306 0.6939
0.7414 0.8280 0.2262
0.9482 0.8147 0.8233
0.1613 0.5168 0.6648
0.2583 0.9965 0.4874
0.3357 0.8380 0.0141
0.6643 0.1620 0.9859
0.7417 0.0035 0.5126
0.8387 0.4832 0.3352
0.0000 0.0000 0.5000
0.0190 0.3769 0.7126
0.0444 0.5578 0.8591
0.0717 0.3415 0.3377
0.0874 0.8534 0.1666
0.1340 0.2886 0.9641
0.1993 0.9344 0.6734
0.2030 0.1777 0.5515
0.2523 0.7964 0.8720
0.2602 0.0289 0.9851
0.2712 0.4869 0.4700
0.2801 0.6636 0.6586
0.3179 0.0796 0.3087
0.3537 0.6476 0.0620
0.3641 0.3919 0.7291
0.3878 0.8216 0.4088
0.3894 0.2378 0.1081
0.4394 0.4643 0.1932
0.4585 0.8177 0.1537
0.5000 0.0000 0.5000
0.5415 0.1823 0.8463
0.5606 0.5357 0.8068
0.6106 0.7622 0.8919
0.6122 0.1784 0.5912
0.6359 0.6081 0.2709
0.6463 0.3524 0.9380
0.6821 0.9204 0.6913
0.7199 0.3364 0.3414
0.7288 0.5131 0.5300
0.7398 0.9711 0.0149
0.7477 0.2036 0.1280
0.7970 0.8223 0.4485
0.8007 0.0656 0.3266
0.8660 0.7114 0.0359
0.9126 0.1466 0.8334
0.9283 0.6585 0.6623
0.9556 0.4422 0.1409
0.9810 0.6231 0.2874

***

2.
Dy2SnS3 PBE-GGA optimized geometry; density = 5.12 Mg/m³; space group = Cc, No. 9
1.0
3.9638 -7.0218 0.0000
3.9638 7.0218 0.0000
-3.3537 0.0000 6.2972
Dy Sn S
4 2 6
direct
0.0945 0.9055 0.5000
0.3143 0.7759 0.9692
0.7759 0.3143 0.4692
0.9055 0.0945 0.0000
0.2569 0.5736 0.4401
0.5736 0.2569 0.9401
0.1114 0.9478 0.8840
0.4036 0.9500 0.3813
0.5416 0.7012 0.8000
0.7012 0.5416 0.3000
0.9478 0.1114 0.3840
0.9500 0.4036 0.8813

***

3.
Sn15Os3O14 PBE-GGA optimized geometry; density = 7.54 Mg/m³; space group = Cm, No. 8
1.0
6.3009 -3.6066 0.0000
6.3009 3.6066 0.0000
-4.1646 0.0000 12.4777
Sn Os O
15 3 14
direct
0.0000 0.0000 0.0000
0.2790 0.7591 0.7576
0.2923 0.2923 0.7923
0.3368 0.3368 0.4988
0.3388 0.8543 0.4941
0.4263 0.9448 0.2664
0.5205 0.9963 0.0085
0.5286 0.5286 0.0309
0.7522 0.7522 0.7423
0.7591 0.2790 0.7576
0.8543 0.3388 0.4941
0.8641 0.8641 0.5387
0.9448 0.4263 0.2664
0.9451 0.9451 0.2607
0.9963 0.5205 0.0085
0.1383 0.1383 0.8848
0.5475 0.5475 0.6141
0.7338 0.7338 0.1509
0.0743 0.0743 0.1715
0.0856 0.5932 0.7354
0.1941 0.1941 0.5521
0.2026 0.6673 0.0346
0.2738 0.2738 0.3302
0.2746 0.8262 0.3264
0.4737 0.4737 0.8621
0.5442 0.9733 0.4525
0.5932 0.0856 0.7354
0.6673 0.2026 0.0346
0.8074 0.8074 0.9100
0.8262 0.2746 0.3264
0.9733 0.5442 0.4525
0.9730 0.9730 0.4461

***

4.
TbCo2Ni3 PBE-GGA optimized geometry; density = 9.21 Mg/m³; space group = Cmmm, No. 65
1.0
2.3835 -4.3054 0.0000
2.3835 4.3054 0.0000
0.0000 0.0000 3.9781
Tb Co Ni
1 2 3
direct
0.0000 0.0000 0.0000
0.0000 0.5000 0.5000
0.5000 0.0000 0.5000
0.3321 0.6679 0.0000
0.5000 0.5000 0.5000
0.6679 0.3321 0.0000

***

5.
U3Co2Si7 PBE-GGA optimized geometry; density = 8.75 Mg/m³; space group = Cmmm, No. 65
1.0
1.9874 -12.1908 0.0000
1.9874 12.1908 0.0000
0.0000 0.0000 4.0267
U Co Si
3 2 7
direct
0.0000 0.0000 0.0000
0.3141 0.6859 0.5000
0.6859 0.3141 0.5000
0.1287 0.8713 0.0000
0.8713 0.1287 0.0000
0.0875 0.9125 0.5000
0.2222 0.7778 0.0000
0.4131 0.5869 0.0000
0.5000 0.5000 0.5000
0.5869 0.4131 0.0000
0.7778 0.2222 0.0000
0.9125 0.0875 0.5000

***

6.
Ba3CaCuSi6O17 PBE-GGA optimized geometry; density = 3.72 Mg/m³; space group = Ama2, No. 40
1.0
16.2971 0.0000 0.0000
0.0000 3.5908 7.3008
0.0000 -3.5908 7.3008
Ba Ca Cu Si O
6 2 2 12 34
direct
0.1136 0.2410 0.7590
0.2500 0.7232 0.7841
0.3864 0.2410 0.7590
0.6136 0.7590 0.2410
0.7500 0.7841 0.7232
0.8864 0.7590 0.2410
0.0000 0.7452 0.7452
0.5000 0.7452 0.7452
0.0000 0.2221 0.2221
0.5000 0.2221 0.2221
0.0899 0.6100 0.1397
0.0947 0.8047 0.3709
0.2500 0.0896 0.1635
0.2500 0.3120 0.3523
0.4053 0.8047 0.3709
0.4101 0.6100 0.1397
0.5899 0.1397 0.6100
0.5947 0.3709 0.8047
0.7500 0.1635 0.0896
0.7500 0.3523 0.3120
0.9053 0.3709 0.8047
0.9101 0.1397 0.6100
0.0072 0.5102 0.1196
0.0100 0.9336 0.3203
0.0750 0.6300 0.3299
0.1087 0.8258 0.9152
0.1209 0.6791 0.6102
0.1673 0.9545 0.1981
0.1698 0.4511 0.2135
0.2500 0.1059 0.3562
0.2500 0.2285 0.5872
0.2500 0.3015 0.9330
0.3302 0.4511 0.2135
0.3327 0.9545 0.1981
0.3791 0.6791 0.6102
0.3913 0.8258 0.9152
0.4250 0.6300 0.3299
0.4900 0.9336 0.3203
0.4928 0.5102 0.1196
0.5072 0.1196 0.5102
0.5100 0.3203 0.9336
0.5750 0.3299 0.6300
0.6087 0.9152 0.8258
0.6209 0.6102 0.6791
0.6673 0.1981 0.9545
0.6698 0.2135 0.4511
0.7500 0.3562 0.1059
0.7500 0.5872 0.2285
0.7500 0.9330 0.3015
0.8302 0.2135 0.4511
0.8327 0.1981 0.9545
0.8791 0.6102 0.6791
0.8913 0.9152 0.8258
0.9250 0.3299 0.6300
0.9900 0.3203 0.9336
0.9928 0.1196 0.5102

***

7.
Na20Zn7Sn12 PBE-GGA optimized geometry; density = 3.69 Mg/m³; space group = C2/c, No. 15
1.0
8.2205 -4.6878 0.0000
8.2205 4.6878 0.0000
-6.2347 0.0000 27.3830
Na Zn Sn
40 14 24
direct
0.0032 0.8138 0.5002
0.0243 0.4047 0.0604
0.1311 0.1822 0.3939
0.1307 0.5635 0.3940
0.1822 0.1311 0.8939
0.1819 0.2312 0.1872
0.1862 0.9968 0.9998
0.1984 0.3932 0.8115
0.2021 0.7696 0.8133
0.2028 0.6662 0.0611
0.2304 0.7979 0.6867
0.2312 0.1819 0.6872
0.2453 0.4418 0.6055
0.3338 0.7972 0.4389
0.3592 0.5927 0.9389
0.3932 0.1984 0.3115
0.4047 0.0243 0.5604
0.4073 0.6408 0.5611
0.4365 0.8693 0.1060
0.4418 0.2453 0.1055
0.5582 0.7547 0.8945
0.5635 0.1307 0.8940
0.5927 0.3592 0.4389
0.5953 0.9757 0.4396
0.6068 0.8016 0.6885
0.6408 0.4073 0.0611
0.6662 0.2028 0.5611
0.7547 0.5582 0.3945
0.7688 0.8181 0.3128
0.7696 0.2021 0.3133
0.7972 0.3338 0.9389
0.7979 0.2304 0.1867
0.8016 0.6068 0.1885
0.8138 0.0032 0.0002
0.8181 0.7688 0.8128
0.8178 0.8689 0.1061
0.8693 0.4365 0.6060
0.8689 0.8178 0.6061
0.9757 0.5953 0.9396
0.9968 0.1862 0.4998
0.0000 0.5000 0.5000
0.1094 0.8365 0.3324
0.1366 0.5515 0.2700
0.1635 0.8906 0.1676
0.3897 0.4403 0.7324
0.4403 0.3897 0.2324
0.4485 0.8634 0.2300
0.5000 0.0000 0.0000
0.5515 0.1366 0.7700
0.5597 0.6103 0.7676
0.6103 0.5597 0.2676
0.8365 0.1094 0.8324
0.8634 0.4485 0.7300
0.8906 0.1635 0.6676
0.0113 0.0860 0.0959
0.0412 0.5847 0.7046
0.0464 0.1384 0.7656
0.0860 0.0113 0.5959
0.1384 0.0464 0.2656
0.1536 0.5708 0.1656
0.3136 0.3373 0.4897
0.3373 0.3136 0.9897
0.4153 0.9588 0.7954
0.4177 0.5339 0.3317
0.4292 0.8464 0.3344
0.4661 0.5823 0.1683
0.5339 0.4177 0.8317
0.5708 0.1536 0.6656
0.5823 0.4661 0.6683
0.5847 0.0412 0.2046
0.6627 0.6864 0.0103
0.6864 0.6627 0.5103
0.8464 0.4292 0.8344
0.8616 0.9536 0.7344
0.9140 0.9887 0.4041
0.9536 0.8616 0.2344
0.9588 0.4153 0.2954
0.9887 0.9140 0.9041

***

8.
MgRh3 PBE-GGA optimized geometry; density = 9.44 Mg/m³; space group = Imm2, No. 44
1.0
-1.3941 4.4076 2.3843
1.3941 -4.4076 2.3843
1.3941 4.4076 -2.3843
Mg Rh
1 3
direct
0.0000 0.0000 0.0000
0.4227 0.6687 0.7539
0.4872 0.9872 0.5000
0.9148 0.6687 0.2461

***

9.
BiOF PBE-GGA optimized geometry; density = 7.46 Mg/m³; space group = R-3m, No. 166
1.0
1.9903 1.1491 7.9132
-1.9903 1.1491 7.9132
0.0000 -2.2982 7.9132
Bi O F
2 2 2
direct
0.1042 0.1042 0.1042
0.8958 0.8958 0.8958
0.1986 0.1986 0.1986
0.8014 0.8014 0.8014
0.3964 0.3964 0.3964
0.6036 0.6036 0.6036

***

10.
SbO2F PBE-GGA optimized geometry; piezoelectric modulus e_max = 0.84 C/m2; density = 5.48 Mg/m³; energy above the most stable polymorph in this dataset = 0.000 eV per atom; space group = Cc, No. 9
1.0
4.3827 -2.6182 0.0000
4.3827 2.6182 0.0000
-3.1747 0.0000 4.5619
Sb O F
2 4 2
direct
0.2184 0.7816 0.5000
0.7816 0.2184 0.0000
0.1468 0.9920 0.2524
0.6259 0.8545 0.7615
0.8545 0.6259 0.2615
0.9920 0.1468 0.7524
0.3748 0.4888 0.7521
0.4888 0.3748 0.2521

***

11.
Mg14CdBiO16 PBE-GGA optimized geometry; density = 4.38 Mg/m³; energy above the most stable polymorph in this dataset = 0.012 eV per atom; space group = Pmmm, No. 47
1.0
4.4391 0.0000 0.0000
0.0000 8.7875 0.0000
0.0000 0.0000 8.9159
Mg Cd Bi O
14 1 1 16
direct
0.0000 0.0000 0.0000
0.0000 0.0000 0.5000
0.0000 0.2394 0.2422
0.0000 0.2394 0.7578
0.0000 0.7606 0.2422
0.0000 0.7606 0.7578
0.5000 0.0000 0.2476
0.5000 0.0000 0.7524
0.5000 0.2345 0.5000
0.5000 0.2427 0.0000
0.5000 0.5000 0.2367
0.5000 0.5000 0.7633
0.5000 0.7573 0.0000
0.5000 0.7655 0.5000
0.0000 0.5000 0.0000
0.0000 0.5000 0.5000
0.0000 0.0000 0.2523
0.0000 0.0000 0.7477
0.0000 0.2276 0.0000
0.0000 0.2307 0.5000
0.0000 0.5000 0.2470
0.0000 0.5000 0.7530
0.0000 0.7693 0.5000
0.0000 0.7724 0.0000
0.5000 0.0000 0.0000
0.5000 0.0000 0.5000
0.5000 0.2496 0.2526
0.5000 0.2496 0.7474
0.5000 0.5000 0.0000
0.5000 0.5000 0.5000
0.5000 0.7504 0.2526
0.5000 0.7504 0.7474

***

12.
K6MgSb2O8 PBE-GGA optimized geometry; density = 3.22 Mg/m³; energy above the most stable polymorph in this dataset = 0.000 eV per atom; space group = P1, No. 1
1.0
6.1006 0.0000 0.0000
3.0394 6.5329 0.0000
1.3176 1.6006 8.1656
K Mg Sb O
6 1 2 8
direct
0.0000 0.0000 0.0000
0.0192 0.0376 0.4426
0.1430 0.5613 0.8466
0.3005 0.4776 0.4745
0.5745 0.9586 0.3145
0.7800 0.4299 0.6901
0.0163 0.4724 0.1863
0.5424 0.9603 0.7735
0.5609 0.5824 0.1295
0.2599 0.1185 0.6372
0.2940 0.7940 0.2374
0.3638 0.4035 0.1677
0.4373 0.7253 0.8894
0.7462 0.4480 0.3510
0.7779 0.7502 0.0777
0.7966 0.8022 0.6228
0.8653 0.3702 0.0371

***

What did we get for uncorrected energy? Answer: -340.8 -67.1 -199.7 -37.6 -91.8 -412.9 -180.7 -24.7 -32.3 -44.1 -180.3 -82.3 eV per cell, in the order shown.
What did we get for formation energy? Answer: -406.7 -151.4 -139.5 -22.5 -42.2 -308.8 -17.2 -25.5 -210.4 -191.7 -256.1 -179.7 kJ per mole of atoms, in the order shown.